(1)
This record from the Materials Project database describes an optimized crystal structure of Al3CoP4O16. The functional is PBE with a Hubbard U.

Cell lengths 8.8809, 8.8809, 28.5567 Å; angles 89.12, 89.12, 109.36 degrees
Fractional coordinates of all 96 atoms:
Al: 0.1667 0.1169 0.6932
Al: 0.8333 0.8831 0.3068
Al: 0.8831 0.8333 0.8068
Al: 0.1169 0.1667 0.1932
Al: 0.3469 0.3567 0.5571
Al: 0.6531 0.6433 0.4429
Al: 0.6433 0.6531 0.9429
Al: 0.3567 0.3469 0.0571
Al: 0.7175 0.9774 0.6171
Al: 0.2825 0.0226 0.3829
Al: 0.0226 0.2825 0.8829
Al: 0.9774 0.7175 0.1171
Co: 0.4969 0.2067 0.8668
Co: 0.5031 0.7933 0.1332
Co: 0.7933 0.5031 0.6332
Co: 0.2067 0.4969 0.3668
P: 0.7196 0.9783 0.8834
P: 0.2804 0.0217 0.1166
P: 0.0217 0.2804 0.6166
P: 0.9783 0.7196 0.3834
P: 0.1831 0.1374 0.8034
P: 0.8169 0.8626 0.1966
P: 0.8626 0.8169 0.6966
P: 0.1374 0.1831 0.3034
P: 0.6424 0.6708 0.5549
P: 0.3576 0.3292 0.4451
P: 0.3292 0.3576 0.9451
P: 0.6708 0.6424 0.0549
P: 0.4888 0.1874 0.6329
P: 0.5112 0.8126 0.3671
P: 0.8126 0.5112 0.8671
P: 0.1874 0.4888 0.1329
O: 0.6093 0.3396 0.6534
O: 0.3907 0.6604 0.3466
O: 0.6604 0.3907 0.8466
O: 0.3396 0.6093 0.1534
O: 0.1862 0.1804 0.7510
O: 0.8138 0.8196 0.2490
O: 0.8196 0.8138 0.7490
O: 0.1804 0.1862 0.2510
O: 0.7548 0.9160 0.8358
O: 0.2452 0.0840 0.1642
O: 0.0840 0.2452 0.6642
O: 0.9160 0.7548 0.3358
O: 0.9187 0.0396 0.1881
O: 0.0813 0.9604 0.8119
O: 0.9604 0.0813 0.3119
O: 0.0396 0.9187 0.6881
O: 0.3484 0.1228 0.6679
O: 0.6516 0.8772 0.3321
O: 0.8772 0.6516 0.8321
O: 0.1228 0.3484 0.1679
O: 0.6548 0.8354 0.5736
O: 0.3452 0.1646 0.4264
O: 0.1646 0.3452 0.9264
O: 0.8354 0.6548 0.0736
O: 0.5858 0.0503 0.8772
O: 0.4142 0.9497 0.1228
O: 0.9497 0.4142 0.6228
O: 0.0503 0.5858 0.3772
O: 0.7529 0.8878 0.6691
O: 0.2471 0.1122 0.3309
O: 0.1122 0.2471 0.8309
O: 0.8878 0.7529 0.1691
O: 0.5662 0.0585 0.6262
O: 0.4338 0.9415 0.3738
O: 0.9415 0.4338 0.8738
O: 0.0585 0.5662 0.1262
O: 0.6616 0.8405 0.9192
O: 0.3384 0.1595 0.0808
O: 0.1595 0.3384 0.5808
O: 0.8405 0.6616 0.4192
O: 0.3549 0.1629 0.8184
O: 0.6451 0.8371 0.1816
O: 0.8371 0.6451 0.6816
O: 0.1629 0.3549 0.3184
O: 0.4294 0.2253 0.5850
O: 0.5706 0.7747 0.4150
O: 0.7747 0.5706 0.9150
O: 0.2253 0.4294 0.0850
O: 0.4720 0.5544 0.5648
O: 0.5280 0.4456 0.4352
O: 0.4456 0.5280 0.9352
O: 0.5544 0.4720 0.0648
O: 0.6772 0.6888 0.5020
O: 0.3228 0.3112 0.4980
O: 0.3112 0.3228 0.9980
O: 0.6888 0.6772 0.0020
O: 0.3911 0.2322 0.9216
O: 0.6089 0.7678 0.0784
O: 0.7678 0.6089 0.5784
O: 0.2322 0.3911 0.4216
O: 0.8718 0.1050 0.9013
O: 0.1282 0.8950 0.0987
O: 0.8950 0.1282 0.5987
O: 0.1050 0.8718 0.4013

Calculated values
- Formation energy from the elements: -2802 meV per atom
- Total magnetic moment: 0.00 Bohr magnetons per cell


(2)
This record from the Materials Project database describes an optimized crystal structure of Al4Co13Si2Sb2O28. The functional is PBE with a Hubbard U.

Cell lengths 11.6120, 11.6120, 8.9433 Å; angles 87.43, 87.43, 152.52 degrees
Fractional coordinates of all 49 atoms:
Al: 0.0573 0.4864 0.6723
Al: 0.5136 0.9427 0.3277
Al: 0.9427 0.5136 0.3277
Al: 0.4864 0.0573 0.6723
Co: 0.9290 0.6414 0.6481
Co: 0.6518 0.7919 0.3455
Co: 0.3586 0.0710 0.3519
Co: 0.0710 0.3586 0.3519
Co: 0.3482 0.2081 0.6545
Co: 0.2871 0.7129 0.0000
Co: 0.2081 0.3482 0.6545
Co: 0.0000 0.0000 0.0000
Co: 0.4291 0.5709 0.0000
Co: 0.7919 0.6518 0.3455
Co: 0.6414 0.9290 0.6481
Co: 0.5709 0.4291 0.0000
Co: 0.7129 0.2871 0.0000
Si: 0.2338 0.2338 0.3141
Si: 0.7662 0.7662 0.6859
Sb: 0.8587 0.1413 0.0000
Sb: 0.1413 0.8587 0.0000
O: 0.6873 0.9853 0.4010
O: 0.1797 0.6249 0.3634
O: 0.9323 0.9323 0.3568
O: 0.3087 0.3087 0.1254
O: 0.8203 0.3751 0.6366
O: 0.3127 0.0147 0.5990
O: 0.0147 0.5951 0.1189
O: 0.9853 0.4049 0.8811
O: 0.6913 0.6913 0.8746
O: 0.1249 0.2760 0.8843
O: 0.2890 0.4088 0.3834
O: 0.0147 0.3127 0.5990
O: 0.4049 0.9853 0.8811
O: 0.7240 0.8751 0.1157
O: 0.5912 0.7110 0.6166
O: 0.0677 0.0677 0.6432
O: 0.2760 0.1249 0.8843
O: 0.8751 0.7240 0.1157
O: 0.5951 0.0147 0.1189
O: 0.1299 0.4185 0.1208
O: 0.8701 0.5815 0.8792
O: 0.4088 0.2890 0.3834
O: 0.4185 0.1299 0.1208
O: 0.6249 0.1797 0.3634
O: 0.7110 0.5912 0.6166
O: 0.5815 0.8701 0.8792
O: 0.9853 0.6873 0.4010
O: 0.3751 0.8203 0.6366

Calculated values
- Formation energy from the elements: -2077 meV per atom
- Total magnetic moment: 39.00 Bohr magnetons per cell


(3)
This record from the Materials Project database describes an optimized crystal structure of Al2Co3Si3O12. The functional is PBE with a Hubbard U.

Cell lengths 10.0184, 10.0184, 10.0184 Å; angles 109.47, 109.47, 109.47 degrees
Fractional coordinates of all 80 atoms:
Al: 0.0000 0.5000 0.5000
Al: 0.0000 0.5000 0.0000
Al: 0.5000 0.5000 0.5000
Al: 0.0000 0.0000 0.0000
Al: 0.5000 0.5000 0.0000
Al: 0.5000 0.0000 0.5000
Al: 0.0000 0.0000 0.5000
Al: 0.5000 0.0000 0.0000
Co: 0.6250 0.8750 0.7500
Co: 0.7500 0.1250 0.3750
Co: 0.6250 0.2500 0.8750
Co: 0.1250 0.2500 0.3750
Co: 0.2500 0.3750 0.1250
Co: 0.8750 0.7500 0.6250
Co: 0.8750 0.6250 0.2500
Co: 0.1250 0.3750 0.7500
Co: 0.3750 0.1250 0.2500
Co: 0.2500 0.8750 0.6250
Co: 0.7500 0.6250 0.8750
Co: 0.3750 0.7500 0.1250
Si: 0.8750 0.2500 0.1250
Si: 0.7500 0.8750 0.1250
Si: 0.1250 0.7500 0.8750
Si: 0.3750 0.6250 0.7500
Si: 0.6250 0.7500 0.3750
Si: 0.6250 0.3750 0.2500
Si: 0.7500 0.3750 0.6250
Si: 0.2500 0.6250 0.3750
Si: 0.2500 0.1250 0.8750
Si: 0.3750 0.2500 0.6250
Si: 0.1250 0.8750 0.2500
Si: 0.8750 0.1250 0.7500
O: 0.3983 0.0847 0.8807
O: 0.5847 0.1864 0.2040
O: 0.3807 0.5847 0.8983
O: 0.6017 0.9153 0.1193
O: 0.0176 0.2040 0.1193
O: 0.4153 0.1017 0.6193
O: 0.3807 0.2960 0.4824
O: 0.1193 0.6017 0.9153
O: 0.7040 0.6864 0.0847
O: 0.6864 0.1017 0.9824
O: 0.7040 0.5176 0.6193
O: 0.6017 0.1864 0.4824
O: 0.9824 0.7960 0.8807
O: 0.1864 0.4824 0.6017
O: 0.1017 0.9824 0.6864
O: 0.9153 0.1193 0.6017
O: 0.6864 0.0847 0.7040
O: 0.8136 0.7960 0.4153
O: 0.6193 0.7040 0.5176
O: 0.9824 0.6864 0.1017
O: 0.8807 0.9824 0.7960
O: 0.8807 0.3983 0.0847
O: 0.6193 0.4153 0.1017
O: 0.0176 0.3136 0.8983
O: 0.7960 0.4153 0.8136
O: 0.4824 0.3807 0.2960
O: 0.3136 0.8983 0.0176
O: 0.0847 0.7040 0.6864
O: 0.0847 0.8807 0.3983
O: 0.5176 0.6193 0.7040
O: 0.2040 0.5847 0.1864
O: 0.3983 0.8136 0.5176
O: 0.1864 0.2040 0.5847
O: 0.8136 0.5176 0.3983
O: 0.7960 0.8807 0.9824
O: 0.2040 0.1193 0.0176
O: 0.3136 0.9153 0.2960
O: 0.4824 0.6017 0.1864
O: 0.1193 0.0176 0.2040
O: 0.5847 0.8983 0.3807
O: 0.8983 0.0176 0.3136
O: 0.8983 0.3807 0.5847
O: 0.4153 0.8136 0.7960
O: 0.2960 0.3136 0.9153
O: 0.1017 0.6193 0.4153
O: 0.9153 0.2960 0.3136
O: 0.5176 0.3983 0.8136
O: 0.2960 0.4824 0.3807

Calculated values
- Formation energy from the elements: -2691 meV per atom
- Total magnetic moment: 36.00 Bohr magnetons per cell